[1]
Material: SrAc3
Method: DFT, PBE
State: optimized geometry

Structure (extended XYZ):
```
8
Lattice="8.1455 0.0000 0.0000 -4.0728 7.0542 0.0000 0.0000 0.0000 6.5498" Properties=species:S:1:pos:R:3 pbc="T T T"
Sr 0.0000 4.7028 1.6375
Sr 4.0728 2.3514 4.9124
Ac 0.0000 2.3148 4.9124
Ac -2.0681 5.8969 4.9124
Ac 2.0046 1.1574 1.6375
Ac 2.0681 5.8969 4.9124
Ac 6.1409 1.1574 1.6375
Ac 4.0728 4.7395 1.6375
```

Values from the calculation:
formation energy	91	meV per atom
space-group type	P6_3/mmc, No. 194
final energy	-3.423	eV per atom

[2]
Material: SrAc3
Method: DFT, PBE
State: optimized geometry

Structure (extended XYZ):
```
4
Lattice="-2.8683 2.8683 5.6837 2.8683 -2.8683 5.6837 2.8683 2.8683 -5.6837" Properties=species:S:1:pos:R:3 pbc="T T T"
Sr 0.0000 0.0000 0.0000
Ac 2.8683 0.0000 2.8418
Ac 0.0000 0.0000 5.6837
Ac 0.0000 2.8683 2.8418
```

Values from the calculation:
formation energy	74	meV per atom
space-group type	I4/mmm, No. 139
final energy	-3.440	eV per atom

[3]
Material: Sr3Ac
Method: DFT, PBE
State: optimized geometry

Structure (extended XYZ):
```
8
Lattice="8.3717 0.0000 0.0000 -4.1859 7.2501 0.0000 0.0000 0.0000 6.7457" Properties=species:S:1:pos:R:3 pbc="T T T"
Sr 0.0000 2.4640 1.6864
Sr -2.0520 6.0181 1.6864
Sr 2.1339 1.2320 5.0593
Sr 2.0520 6.0181 1.6864
Sr 6.2378 1.2320 5.0593
Sr 4.1859 4.7861 5.0593
Ac 0.0000 4.8334 5.0593
Ac 4.1859 2.4167 1.6864
```

Values from the calculation:
formation energy	96	meV per atom
space-group type	P6_3/mmc, No. 194
final energy	-2.202	eV per atom

[4]
Material: AcTlTe2
Method: DFT, PBE
State: optimized geometry

Structure (extended XYZ):
```
4
Lattice="0.0000 4.0725 4.0725 4.0725 0.0000 4.0725 4.0725 4.0725 0.0000" Properties=species:S:1:pos:R:3 pbc="T T T"
Ac 0.0000 0.0000 0.0000
Tl 4.0725 4.0725 4.0725
Te 2.0363 2.0363 2.0363
Te 6.1088 6.1088 6.1088
```

Values from the calculation:
formation energy	-1254	meV per atom
space-group type	Fm-3m, No. 225
MP2020-corrected energy	-17.8	eV per cell
final energy	-4.235	eV per atom

[5]
Material: Ac3Th
Method: DFT, PBE
State: optimized geometry

Structure (extended XYZ):
```
8
Lattice="7.7795 0.0000 0.0000 -3.8897 6.7372 0.0000 0.0000 0.0000 6.3223" Properties=species:S:1:pos:R:3 pbc="T T T"
Ac 0.0000 2.2996 1.5806
Ac -1.8983 5.5875 1.5806
Ac 1.9915 1.1498 4.7417
Ac 1.8983 5.5875 1.5806
Ac 5.7880 1.1498 4.7417
Ac 3.8897 4.4377 4.7417
Th 0.0000 4.4915 4.7417
Th 3.8898 2.2457 1.5806
```

Values from the calculation:
formation energy	130	meV per atom
space-group type	P6_3/mmc, No. 194
final energy	-4.815	eV per atom

[6]
Material: AcTh
Method: DFT, PBE
State: optimized geometry

Structure (extended XYZ):
```
2
Lattice="3.7422 0.0000 0.0000 -1.8711 3.2409 0.0000 0.0000 0.0000 6.1896" Properties=species:S:1:pos:R:3 pbc="T T T"
Ac 0.0000 0.0000 0.0000
Th 1.8711 1.0803 3.0948
```

Values from the calculation:
formation energy	168	meV per atom
space-group type	P-6m2, No. 187
final energy	-5.600	eV per atom

[7]
Material: Ac3Ti
Method: DFT, PBE
State: optimized geometry

Structure (extended XYZ):
```
4
Lattice="-2.6265 2.6265 5.3141 2.6265 -2.6265 5.3141 2.6265 2.6265 -5.3141" Properties=species:S:1:pos:R:3 pbc="T T T"
Ac 0.0000 0.0000 0.0000
Ac 2.6265 0.0000 2.6570
Ac 0.0000 2.6265 2.6570
Ti 0.0000 0.0000 5.3141
```

Values from the calculation:
formation energy	400	meV per atom
space-group type	I4/mmm, No. 139
final energy	-4.665	eV per atom

[8]
Material: Ac3Tl
Method: DFT, PBE
State: optimized geometry

Structure (extended XYZ):
```
8
Lattice="7.7426 0.0000 0.0000 -3.8713 6.7053 0.0000 0.0000 0.0000 6.0393" Properties=species:S:1:pos:R:3 pbc="T T T"
Ac 0.0000 2.3399 1.5098
Ac -1.8448 5.5353 1.5098
Ac 2.0265 1.1700 4.5295
Ac 1.8448 5.5353 1.5098
Ac 5.7161 1.1700 4.5295
Ac 3.8713 4.3653 4.5295
Tl 0.0000 4.4702 4.5295
Tl 3.8713 2.2351 1.5098
```

Values from the calculation:
formation energy	-97	meV per atom
space-group type	P6_3/mmc, No. 194
final energy	-3.779	eV per atom

[9]
Material: Ac3V
Method: DFT, PBE
State: optimized geometry

Structure (extended XYZ):
```
4
Lattice="-2.5926 2.5926 5.4404 2.5926 -2.5926 5.4404 2.5926 2.5926 -5.4404" Properties=species:S:1:pos:R:3 pbc="T T T"
Ac 0.0000 0.0000 0.0000
Ac 2.5926 0.0000 2.7202
Ac 0.0000 2.5926 2.7202
V 0.0000 0.0000 5.4404
```

Values from the calculation:
formation energy	494	meV per atom
space-group type	I4/mmm, No. 139
final energy	-4.868	eV per atom

[10]
Material: AcY3
Method: DFT, PBE
State: optimized geometry

Structure (extended XYZ):
```
4
Lattice="-2.6131 2.6131 5.2082 2.6131 -2.6131 5.2082 2.6131 2.6131 -5.2082" Properties=species:S:1:pos:R:3 pbc="T T T"
Ac 0.0000 0.0000 0.0000
Y 2.6131 0.0000 2.6041
Y 0.0000 0.0000 5.2082
Y 0.0000 2.6131 2.6041
```

Values from the calculation:
formation energy	63	meV per atom
space-group type	I4/mmm, No. 139
final energy	-5.817	eV per atom

[11]
Material: Ac3Y
Method: DFT, PBE
State: optimized geometry

Structure (extended XYZ):
```
4
Lattice="-2.7586 2.7586 5.5105 2.7586 -2.7586 5.5105 2.7586 2.7586 -5.5105" Properties=species:S:1:pos:R:3 pbc="T T T"
Ac 0.0000 0.0000 0.0000
Ac 2.7586 0.0000 2.7553
Ac 0.0000 2.7586 2.7553
Y 0.0000 0.0000 5.5105
```

Values from the calculation:
formation energy	57	meV per atom
space-group type	I4/mmm, No. 139
final energy	-4.650	eV per atom

[12]
Material: AcY3
Method: DFT, PBE
State: optimized geometry

Structure (extended XYZ):
```
4
Lattice="5.2130 0.0000 0.0000 0.0000 5.2130 0.0000 0.0000 0.0000 5.2130" Properties=species:S:1:pos:R:3 pbc="T T T"
Ac 0.0000 0.0000 0.0000
Y 0.0000 2.6065 2.6065
Y 2.6065 0.0000 2.6065
Y 2.6065 2.6065 0.0000
```

Values from the calculation:
formation energy	57	meV per atom
space-group type	Pm-3m, No. 221
final energy	-5.823	eV per atom

Among the records above, which one has the highest final energy? Sr3Ac